(1)
{"formula": "ErInO3", "functional": "PBE", "state": "optimized geometry", "crystal_system": "orthorhombic", "mass_density_g_cm3": 8.32, "formation_enthalpy_0k_kj_per_mol_atoms": -284.4, "cell": [[5.840, 0.000, 0.000], [0.000, 8.177, 0.000], [0.000, 0.000, 5.521]], "species": ["Er", "Er", "Er", "Er", "In", "In", "In", "In", "O", "O", "O", "O", "O", "O", "O", "O", "O", "O", "O", "O"], "fractional_positions": [[0.063, 0.250, 0.018], [0.437, 0.750, 0.518], [0.563, 0.250, 0.482], [0.937, 0.750, 0.982], [0.000, 0.000, 0.500], [0.000, 0.500, 0.500], [0.500, 0.000, 0.000], [0.500, 0.500, 0.000], [0.077, 0.750, 0.352], [0.183, 0.575, 0.820], [0.183, 0.925, 0.820], [0.317, 0.075, 0.320], [0.317, 0.425, 0.320], [0.423, 0.250, 0.852], [0.577, 0.750, 0.148], [0.683, 0.575, 0.680], [0.683, 0.925, 0.680], [0.817, 0.075, 0.180], [0.817, 0.425, 0.180], [0.923, 0.250, 0.648]]}

(2)
{"formula": "ErIn2Pd", "functional": "PBE", "state": "optimized geometry", "crystal_system": "tetragonal", "mass_density_g_cm3": 9.48, "formation_enthalpy_0k_kj_per_mol_atoms": -62.0, "cell": [[-6.932, 6.932, 4.588], [6.932, -6.932, 4.588], [6.932, 6.932, -4.588]], "species": ["Er", "Er", "Er", "Er", "Er", "Er", "Er", "Er", "Er", "Er", "In", "In", "In", "In", "In", "In", "In", "In", "In", "In", "In", "In", "In", "In", "In", "In", "In", "In", "In", "In", "Pd", "Pd", "Pd", "Pd", "Pd", "Pd", "Pd", "Pd", "Pd", "Pd"], "fractional_positions": [[0.000, 0.000, 0.000], [0.084, 0.084, 0.403], [0.084, 0.681, 0.000], [0.113, 0.394, 0.719], [0.394, 0.113, 0.719], [0.394, 0.675, 0.281], [0.463, 0.463, 0.000], [0.675, 0.394, 0.281], [0.681, 0.084, 0.000], [0.681, 0.681, 0.597], [0.099, 0.099, 0.736], [0.099, 0.363, 0.000], [0.253, 0.871, 0.383], [0.273, 0.482, 0.493], [0.273, 0.781, 0.792], [0.363, 0.099, 0.000], [0.363, 0.363, 0.264], [0.482, 0.273, 0.493], [0.482, 0.989, 0.208], [0.488, 0.871, 0.617], [0.564, 0.725, 0.839], [0.725, 0.564, 0.839], [0.725, 0.886, 0.161], [0.781, 0.273, 0.792], [0.781, 0.989, 0.507], [0.871, 0.253, 0.383], [0.871, 0.488, 0.617], [0.886, 0.725, 0.161], [0.989, 0.482, 0.208], [0.989, 0.781, 0.507], [0.031, 0.243, 0.212], [0.031, 0.819, 0.788], [0.120, 0.620, 0.500], [0.243, 0.031, 0.212], [0.377, 0.377, 0.678], [0.377, 0.699, 0.000], [0.620, 0.120, 0.500], [0.699, 0.377, 0.000], [0.699, 0.699, 0.322], [0.819, 0.031, 0.788]]}

(3)
{"formula": "Er14In3Pd3", "functional": "PBE", "state": "optimized geometry", "crystal_system": "tetragonal", "mass_density_g_cm3": 9.19, "formation_enthalpy_0k_kj_per_mol_atoms": -46.1, "cell": [[9.636, 0.000, 0.000], [0.000, 9.636, 0.000], [0.000, 0.000, 23.394]], "species": ["Er", "Er", "Er", "Er", "Er", "Er", "Er", "Er", "Er", "Er", "Er", "Er", "Er", "Er", "Er", "Er", "Er", "Er", "Er", "Er", "Er", "Er", "Er", "Er", "Er", "Er", "Er", "Er", "Er", "Er", "Er", "Er", "Er", "Er", "Er", "Er", "Er", "Er", "Er", "Er", "Er", "Er", "Er", "Er", "Er", "Er", "Er", "Er", "Er", "Er", "Er", "Er", "Er", "Er", "Er", "Er", "In", "In", "In", "In", "In", "In", "In", "In", "In", "In", "In", "In", "Pd", "Pd", "Pd", "Pd", "Pd", "Pd", "Pd", "Pd", "Pd", "Pd", "Pd", "Pd"], "fractional_positions": [[0.038, 0.750, 0.192], [0.057, 0.250, 0.966], [0.058, 0.064, 0.104], [0.058, 0.436, 0.104], [0.062, 0.750, 0.517], [0.064, 0.058, 0.604], [0.064, 0.442, 0.604], [0.066, 0.566, 0.750], [0.066, 0.934, 0.750], [0.250, 0.057, 0.466], [0.250, 0.250, 0.213], [0.250, 0.250, 0.713], [0.250, 0.443, 0.466], [0.250, 0.538, 0.308], [0.250, 0.562, 0.983], [0.250, 0.750, 0.646], [0.250, 0.750, 0.854], [0.250, 0.938, 0.983], [0.250, 0.962, 0.308], [0.434, 0.566, 0.750], [0.434, 0.934, 0.750], [0.436, 0.058, 0.604], [0.436, 0.442, 0.604], [0.438, 0.750, 0.517], [0.442, 0.064, 0.104], [0.442, 0.436, 0.104], [0.443, 0.250, 0.966], [0.462, 0.750, 0.192], [0.538, 0.250, 0.808], [0.557, 0.750, 0.034], [0.558, 0.564, 0.896], [0.558, 0.936, 0.896], [0.562, 0.250, 0.483], [0.564, 0.558, 0.396], [0.564, 0.942, 0.396], [0.566, 0.066, 0.250], [0.566, 0.434, 0.250], [0.750, 0.038, 0.692], [0.750, 0.062, 0.017], [0.750, 0.250, 0.146], [0.750, 0.250, 0.354], [0.750, 0.438, 0.017], [0.750, 0.462, 0.692], [0.750, 0.557, 0.534], [0.750, 0.750, 0.287], [0.750, 0.750, 0.787], [0.750, 0.943, 0.534], [0.934, 0.066, 0.250], [0.934, 0.434, 0.250], [0.936, 0.558, 0.396], [0.936, 0.942, 0.396], [0.938, 0.250, 0.483], [0.942, 0.564, 0.896], [0.942, 0.936, 0.896], [0.943, 0.750, 0.034], [0.962, 0.250, 0.808], [0.089, 0.250, 0.355], [0.250, 0.089, 0.855], [0.250, 0.411, 0.855], [0.250, 0.750, 0.092], [0.250, 0.750, 0.408], [0.411, 0.250, 0.355], [0.589, 0.750, 0.645], [0.750, 0.250, 0.592], [0.750, 0.250, 0.908], [0.750, 0.589, 0.145], [0.750, 0.911, 0.145], [0.911, 0.750, 0.645], [0.037, 0.750, 0.311], [0.250, 0.250, 0.054], [0.250, 0.250, 0.554], [0.250, 0.537, 0.189], [0.250, 0.963, 0.189], [0.463, 0.750, 0.311], [0.537, 0.250, 0.689], [0.750, 0.037, 0.811], [0.750, 0.463, 0.811], [0.750, 0.750, 0.446], [0.750, 0.750, 0.946], [0.963, 0.250, 0.689]]}

(4)
{"formula": "ErInPd", "functional": "PBE", "state": "optimized geometry", "crystal_system": "hexagonal", "mass_density_g_cm3": 9.87, "formation_enthalpy_0k_kj_per_mol_atoms": -78.6, "cell": [[7.736, 0.000, 0.000], [-3.868, 6.700, 0.000], [0.000, 0.000, 3.784]], "species": ["Er", "Er", "Er", "In", "In", "In", "Pd", "Pd", "Pd"], "fractional_positions": [[0.000, 0.406, 0.000], [0.406, 0.000, 0.000], [0.594, 0.594, 0.000], [0.000, 0.738, 0.500], [0.262, 0.262, 0.500], [0.738, 0.000, 0.500], [0.000, 0.000, 0.000], [0.333, 0.667, 0.500], [0.667, 0.333, 0.500]]}

(5)
{"formula": "Er5In4Pd2", "functional": "PBE", "state": "optimized geometry", "crystal_system": "orthorhombic", "mass_density_g_cm3": 9.43, "formation_enthalpy_0k_kj_per_mol_atoms": -66.4, "cell": [[8.096, 0.000, 0.000], [0.000, 18.211, 0.000], [0.000, 0.000, 3.604]], "species": ["Er", "Er", "Er", "Er", "Er", "Er", "Er", "Er", "Er", "Er", "In", "In", "In", "In", "In", "In", "In", "In", "Pd", "Pd", "Pd", "Pd"], "fractional_positions": [[0.000, 0.000, 0.000], [0.112, 0.418, 0.000], [0.240, 0.220, 0.000], [0.260, 0.720, 0.000], [0.388, 0.918, 0.000], [0.500, 0.500, 0.000], [0.612, 0.082, 0.000], [0.740, 0.280, 0.000], [0.760, 0.780, 0.000], [0.888, 0.582, 0.000], [0.082, 0.851, 0.500], [0.214, 0.569, 0.500], [0.286, 0.069, 0.500], [0.418, 0.351, 0.500], [0.582, 0.649, 0.500], [0.714, 0.931, 0.500], [0.786, 0.431, 0.500], [0.918, 0.149, 0.500], [0.025, 0.304, 0.500], [0.475, 0.804, 0.500], [0.525, 0.196, 0.500], [0.975, 0.696, 0.500]]}

(6)
{"formula": "PmErIn2", "functional": "PBE", "state": "optimized geometry", "crystal_system": "cubic", "mass_density_g_cm3": 8.11, "formation_enthalpy_0k_kj_per_mol_atoms": -44.3, "cell": [[0.000, 3.813, 3.813], [3.813, 0.000, 3.813], [3.813, 3.813, 0.000]], "species": ["Pm", "Er", "In", "In"], "fractional_positions": [[0.000, 0.000, 0.000], [0.500, 0.500, 0.500], [0.250, 0.250, 0.250], [0.750, 0.750, 0.750]]}